Li2Fe2SiO6: relaxed, PBE with a Hubbard U.

POSCAR file:
```
Li2Fe2SiO6
1.0
-0.2990 -4.4063 3.0250
2.0078 6.3787 4.7534
-7.0618 0.0942 4.1757
O Li Fe Si
12 4 4 2
Cartesian
-2.3361 5.1662 7.2942 O
-1.5401 -0.1308 6.1841 O
-3.9258 0.5319 6.9133 O
0.6089 3.6742 7.2021 O
-5.5438 0.1369 9.1244 O
-6.0749 -3.2730 5.8953 O
-2.2120 2.5400 6.4276 O
-6.7468 -0.6022 6.1387 O
1.5069 4.3343 4.6719 O
-3.0169 -3.0995 4.6599 O
0.1909 1.9297 2.8296 O
-3.0278 1.1921 4.3831 O
-3.2432 4.1538 5.7300 Li
-1.8107 2.3191 3.1992 Li
-4.6367 1.1493 10.6887 Li
-1.0153 -3.4889 4.2904 Li
-3.9601 0.5968 2.8461 Fe
-1.2434 3.6730 7.5955 Fe
-5.7781 0.5307 7.3066 Fe
0.5748 3.7390 3.1349 Fe
-2.6764 1.0333 5.9770 Si
1.8583 4.1755 6.2658 Si
```

Volume, Å³/atom: 14.3
Calculated formation energy, meV/atom: -2288
Largest piezoelectric modulus, C/m²: 0.41
Polymorph energy (0 for the lowest one), meV per atom: 0.0